(1)
{
  "formula": "DyYZn2",
  "functional": "r²SCAN",
  "state": "optimized geometry",
  "space_group": "No. 225",
  "final_energy_ev_per_atom": -17.9100,
  "cell": [[-1.118, -1.825, 4.554], [-4.615, -1.773, 0.936], [-0.718, -4.941, 0.623]],
  "species": ["Y", "Dy", "Zn", "Zn"],
  "fractional_positions": [[0.750, 0.750, 0.750], [0.250, 0.250, 0.250], [0.500, 0.500, 0.500], [0.000, 0.000, 0.000]]
}

(2)
{
  "formula": "Dy2Zn17",
  "functional": "r²SCAN",
  "state": "optimized geometry",
  "relative_energy_mev_per_atom": 0.0,
  "space_group": "No. 166",
  "final_energy_ev_per_atom": -11.6138,
  "cell": [[6.638, -0.005, 0.834], [0.735, 6.597, 0.834], [-0.006, -0.005, 6.690]],
  "species": ["Zn", "Zn", "Zn", "Zn", "Zn", "Zn", "Zn", "Zn", "Zn", "Zn", "Zn", "Zn", "Zn", "Zn", "Zn", "Zn", "Zn", "Dy", "Dy"],
  "fractional_positions": [[0.704, 0.296, 0.000], [0.649, 0.649, 0.161], [0.100, 0.100, 0.100], [0.000, 0.000, 0.500], [0.500, 0.000, 0.000], [0.351, 0.351, 0.839], [0.839, 0.351, 0.351], [0.296, 0.000, 0.704], [0.000, 0.500, 0.000], [0.704, 0.000, 0.296], [0.649, 0.161, 0.649], [0.296, 0.704, 0.000], [0.900, 0.900, 0.900], [0.351, 0.839, 0.351], [0.000, 0.296, 0.704], [0.000, 0.704, 0.296], [0.161, 0.649, 0.649], [0.336, 0.336, 0.336], [0.664, 0.664, 0.664]]
}

(3)
{
  "formula": "DyZn",
  "functional": "r²SCAN",
  "state": "optimized geometry",
  "space_group": "No. 221",
  "final_energy_ev_per_atom": -20.8357,
  "cell": [[-2.130, -2.486, 1.359], [1.925, -0.022, 2.977], [-2.079, 2.527, 1.364]],
  "species": ["Dy", "Zn"],
  "fractional_positions": [[0.000, 0.000, 0.000], [0.500, 0.500, 0.500]]
}

(4)
{
  "formula": "Dy2Zn17",
  "functional": "r²SCAN",
  "state": "optimized geometry",
  "relative_energy_mev_per_atom": 2.8,
  "space_group": "No. 194",
  "final_energy_ev_per_atom": -11.6110,
  "cell": [[-5.397, -6.990, 0.522], [7.669, -0.649, -4.361], [3.936, -2.495, 7.295]],
  "species": ["Zn", "Zn", "Zn", "Zn", "Zn", "Zn", "Zn", "Zn", "Zn", "Zn", "Zn", "Zn", "Zn", "Zn", "Zn", "Zn", "Zn", "Zn", "Zn", "Zn", "Zn", "Zn", "Zn", "Zn", "Zn", "Zn", "Zn", "Zn", "Zn", "Zn", "Zn", "Zn", "Zn", "Zn", "Dy", "Dy", "Dy", "Dy"],
  "fractional_positions": [[0.324, 0.162, 0.021], [0.162, 0.324, 0.521], [0.368, 0.329, 0.750], [0.040, 0.671, 0.250], [0.000, 0.500, 0.000], [0.500, 0.000, 0.500], [0.960, 0.632, 0.750], [0.632, 0.960, 0.250], [0.162, 0.324, 0.979], [0.838, 0.162, 0.479], [0.500, 0.500, 0.500], [0.676, 0.838, 0.979], [0.333, 0.667, 0.102], [0.667, 0.333, 0.898], [0.329, 0.368, 0.250], [0.671, 0.632, 0.750], [0.333, 0.667, 0.398], [0.162, 0.838, 0.521], [0.838, 0.676, 0.021], [0.040, 0.368, 0.250], [0.368, 0.040, 0.750], [0.676, 0.838, 0.521], [0.500, 0.000, 0.000], [0.500, 0.500, 0.000], [0.000, 0.500, 0.500], [0.162, 0.838, 0.979], [0.960, 0.329, 0.750], [0.324, 0.162, 0.479], [0.838, 0.676, 0.479], [0.838, 0.162, 0.021], [0.329, 0.960, 0.250], [0.671, 0.040, 0.750], [0.632, 0.671, 0.250], [0.667, 0.333, 0.602], [0.333, 0.667, 0.750], [0.667, 0.333, 0.250], [0.000, 0.000, 0.750], [0.000, 0.000, 0.250]]
}

(5)
{
  "formula": "Er",
  "functional": "r²SCAN",
  "state": "optimized geometry",
  "relative_energy_mev_per_atom": 12.4,
  "space_group": "No. 194",
  "final_energy_ev_per_atom": -33.9130,
  "cell": [[-0.852, 1.961, 2.882], [-0.178, -3.581, 0.150], [5.242, -0.190, 1.678]],
  "species": ["Er", "Er"],
  "fractional_positions": [[0.333, 0.667, 0.250], [0.667, 0.333, 0.750]]
}

(6)
{
  "formula": "Er",
  "functional": "r²SCAN",
  "state": "optimized geometry",
  "relative_energy_mev_per_atom": 139.4,
  "space_group": "No. 229",
  "final_energy_ev_per_atom": -33.7860,
  "cell": [[-0.605, -3.346, 0.418], [2.688, 0.922, 1.914], [-2.757, 1.789, 0.967]],
  "species": ["Er"],
  "fractional_positions": [[0.000, 0.000, 0.000]]
}

(7)
{
  "formula": "Er",
  "functional": "r²SCAN",
  "state": "optimized geometry",
  "relative_energy_mev_per_atom": 66.9,
  "space_group": "No. 225",
  "final_energy_ev_per_atom": -33.8586,
  "cell": [[-1.460, 0.966, 3.039], [1.494, -0.925, 3.035], [1.555, 2.425, 2.000]],
  "species": ["Er"],
  "fractional_positions": [[0.000, 0.000, 0.000]]
}

(8)
{
  "formula": "Er",
  "functional": "r²SCAN",
  "state": "optimized geometry",
  "relative_energy_mev_per_atom": 0.0,
  "space_group": "No. 166",
  "final_energy_ev_per_atom": -33.9254,
  "cell": [[-1.316, 0.838, 3.187], [-0.990, 1.840, -2.868], [-7.653, -4.227, -0.071]],
  "species": ["Er", "Er", "Er"],
  "fractional_positions": [[0.000, 0.000, 0.000], [0.444, 0.222, 0.334], [0.556, 0.778, 0.666]]
}

(9)
{
  "formula": "Er",
  "functional": "r²SCAN",
  "state": "optimized geometry",
  "relative_energy_mev_per_atom": 22.8,
  "space_group": "No. 194",
  "final_energy_ev_per_atom": -33.9027,
  "cell": [[3.541, 0.000, 0.000], [-1.770, 3.066, 0.000], [0.000, 0.000, 11.424]],
  "species": ["Er", "Er", "Er", "Er"],
  "fractional_positions": [[0.000, 0.000, 0.500], [0.667, 0.333, 0.750], [0.000, 0.000, 0.000], [0.333, 0.667, 0.250]]
}

(10)
{
  "formula": "EuEr2Se4",
  "functional": "r²SCAN",
  "state": "optimized geometry",
  "space_group": "No. 62",
  "final_energy_ev_per_atom": -25.6144,
  "cell": [[4.084, 0.000, 0.000], [0.000, 12.453, 0.000], [0.000, 0.000, 14.757]],
  "species": ["Se", "Se", "Se", "Se", "Se", "Se", "Se", "Se", "Se", "Se", "Se", "Se", "Se", "Se", "Se", "Se", "Eu", "Eu", "Eu", "Eu", "Er", "Er", "Er", "Er", "Er", "Er", "Er", "Er"],
  "fractional_positions": [[0.750, 0.972, 0.715], [0.250, 0.204, 0.827], [0.750, 0.092, 0.077], [0.250, 0.028, 0.285], [0.250, 0.908, 0.923], [0.750, 0.371, 0.032], [0.250, 0.408, 0.577], [0.750, 0.296, 0.327], [0.250, 0.528, 0.215], [0.750, 0.472, 0.785], [0.250, 0.704, 0.673], [0.750, 0.796, 0.173], [0.750, 0.871, 0.468], [0.750, 0.592, 0.423], [0.250, 0.129, 0.532], [0.250, 0.629, 0.968], [0.250, 0.259, 0.165], [0.250, 0.759, 0.335], [0.750, 0.241, 0.665], [0.750, 0.741, 0.835], [0.750, 0.084, 0.403], [0.250, 0.439, 0.389], [0.250, 0.416, 0.903], [0.750, 0.061, 0.889], [0.250, 0.939, 0.111], [0.750, 0.584, 0.097], [0.250, 0.916, 0.597], [0.750, 0.561, 0.611]]
}

(11)
{
  "formula": "EuErTl2",
  "functional": "r²SCAN",
  "state": "optimized geometry",
  "space_group": "No. 225",
  "final_energy_ev_per_atom": -45.1454,
  "cell": [[2.024, -5.016, 0.557], [-3.345, -4.203, 0.848], [-0.772, -3.693, -3.916]],
  "species": ["Er", "Tl", "Tl", "Eu"],
  "fractional_positions": [[0.500, 0.500, 0.500], [0.250, 0.250, 0.250], [0.750, 0.750, 0.750], [0.000, 0.000, 0.000]]
}

(12)
{
  "formula": "ErHfF7",
  "functional": "r²SCAN",
  "state": "optimized geometry",
  "space_group": "No. 4",
  "final_energy_ev_per_atom": -15.4899,
  "cell": [[-0.500, 4.849, -2.811], [0.665, 3.014, 5.082], [7.622, -0.743, -2.637]],
  "species": ["F", "F", "F", "F", "F", "F", "F", "F", "F", "F", "F", "F", "F", "F", "Er", "Er", "Hf", "Hf"],
  "fractional_positions": [[0.951, 0.951, 0.759], [0.000, 0.619, 0.216], [0.491, 0.545, 0.211], [0.204, 0.134, 0.523], [0.198, 0.244, 0.025], [0.991, 0.455, 0.789], [0.451, 0.049, 0.241], [0.698, 0.756, 0.975], [0.894, 0.458, 0.477], [0.704, 0.866, 0.477], [0.500, 0.381, 0.784], [0.432, 0.928, 0.770], [0.932, 0.072, 0.230], [0.394, 0.542, 0.523], [0.199, 0.345, 0.314], [0.699, 0.655, 0.686], [0.708, 0.812, 0.226], [0.208, 0.188, 0.774]]
}

(13)
{
  "formula": "KEr2F7",
  "functional": "r²SCAN",
  "state": "optimized geometry",
  "space_group": "No. 33",
  "final_energy_ev_per_atom": -13.8011,
  "cell": [[-3.437, 6.172, -3.027], [-8.550, -0.905, 7.861], [6.720, 7.765, 8.203]],
  "species": ["F", "F", "F", "F", "F", "F", "F", "F", "F", "F", "F", "F", "F", "F", "F", "F", "F", "F", "F", "F", "F", "F", "F", "F", "F", "F", "F", "F", "F", "F", "F", "F", "F", "F", "F", "F", "F", "F", "F", "F", "F", "F", "F", "F", "F", "F", "F", "F", "F", "F", "F", "F", "F", "F", "F", "F", "Er", "Er", "Er", "Er", "Er", "Er", "Er", "Er", "Er", "Er", "Er", "Er", "Er", "Er", "Er", "Er", "K", "K", "K", "K", "K", "K", "K", "K"],
  "fractional_positions": [[0.506, 0.838, 0.580], [0.006, 0.867, 0.095], [0.749, 0.572, 0.731], [0.006, 0.662, 0.080], [0.837, 0.412, 0.877], [0.763, 0.428, 0.269], [0.505, 0.756, 0.766], [0.506, 0.633, 0.595], [0.674, 0.668, 0.301], [0.174, 0.832, 0.801], [0.178, 0.414, 0.878], [0.749, 0.072, 0.769], [0.249, 0.928, 0.231], [0.006, 0.191, 0.836], [0.678, 0.086, 0.378], [0.836, 0.831, 0.802], [0.739, 0.281, 0.503], [0.005, 0.744, 0.266], [0.678, 0.586, 0.122], [0.506, 0.809, 0.164], [0.006, 0.162, 0.420], [0.009, 0.124, 0.626], [0.006, 0.691, 0.664], [0.773, 0.220, 0.003], [0.006, 0.976, 0.912], [0.336, 0.169, 0.198], [0.239, 0.719, 0.497], [0.509, 0.876, 0.374], [0.006, 0.476, 0.588], [0.773, 0.720, 0.497], [0.506, 0.024, 0.088], [0.836, 0.331, 0.698], [0.009, 0.624, 0.874], [0.505, 0.256, 0.734], [0.273, 0.280, 0.503], [0.509, 0.376, 0.126], [0.337, 0.588, 0.123], [0.763, 0.928, 0.231], [0.337, 0.088, 0.377], [0.506, 0.309, 0.336], [0.239, 0.219, 0.003], [0.005, 0.244, 0.234], [0.263, 0.072, 0.769], [0.178, 0.914, 0.622], [0.837, 0.912, 0.623], [0.174, 0.332, 0.699], [0.249, 0.428, 0.269], [0.006, 0.367, 0.405], [0.506, 0.338, 0.920], [0.263, 0.572, 0.731], [0.506, 0.133, 0.905], [0.273, 0.780, 0.997], [0.506, 0.524, 0.412], [0.336, 0.669, 0.302], [0.674, 0.168, 0.199], [0.739, 0.781, 0.997], [0.280, 0.244, 0.838], [0.005, 0.790, 0.937], [0.505, 0.710, 0.437], [0.005, 0.290, 0.563], [0.780, 0.756, 0.162], [0.280, 0.744, 0.662], [0.006, 0.493, 0.758], [0.506, 0.507, 0.242], [0.732, 0.243, 0.837], [0.732, 0.743, 0.663], [0.006, 0.993, 0.742], [0.506, 0.007, 0.258], [0.232, 0.257, 0.337], [0.505, 0.210, 0.063], [0.232, 0.757, 0.163], [0.780, 0.256, 0.338], [0.981, 0.933, 0.432], [0.981, 0.433, 0.068], [0.007, 0.085, 0.095], [0.507, 0.915, 0.905], [0.507, 0.415, 0.595], [0.007, 0.585, 0.405], [0.481, 0.067, 0.568], [0.481, 0.567, 0.932]]
}

(14)
{
  "formula": "KEr2F7",
  "functional": "r²SCAN",
  "state": "optimized geometry",
  "space_group": "No. 62",
  "final_energy_ev_per_atom": -13.8010,
  "cell": [[7.685, 0.000, 0.000], [0.000, 11.653, 0.000], [0.000, 0.000, 13.137]],
  "species": ["F", "F", "F", "F", "F", "F", "F", "F", "F", "F", "F", "F", "F", "F", "F", "F", "F", "F", "F", "F", "F", "F", "F", "F", "F", "F", "F", "F", "F", "F", "F", "F", "F", "F", "F", "F", "F", "F", "F", "F", "F", "F", "F", "F", "F", "F", "F", "F", "F", "F", "F", "F", "F", "F", "F", "F", "Er", "Er", "Er", "Er", "Er", "Er", "Er", "Er", "Er", "Er", "Er", "Er", "Er", "Er", "Er", "Er", "K", "K", "K", "K", "K", "K", "K", "K"],
  "fractional_positions": [[0.517, 0.719, 0.497], [0.579, 0.413, 0.878], [0.007, 0.572, 0.731], [0.921, 0.913, 0.622], [0.993, 0.428, 0.269], [0.493, 0.572, 0.731], [0.250, 0.024, 0.088], [0.079, 0.087, 0.378], [0.517, 0.219, 0.003], [0.750, 0.476, 0.588], [0.919, 0.831, 0.801], [0.983, 0.719, 0.497], [0.750, 0.691, 0.663], [0.581, 0.331, 0.699], [0.581, 0.831, 0.801], [0.750, 0.162, 0.420], [0.750, 0.124, 0.626], [0.750, 0.191, 0.837], [0.007, 0.072, 0.769], [0.750, 0.662, 0.080], [0.750, 0.624, 0.874], [0.579, 0.913, 0.622], [0.993, 0.928, 0.231], [0.250, 0.309, 0.337], [0.493, 0.072, 0.769], [0.419, 0.669, 0.301], [0.250, 0.809, 0.163], [0.507, 0.428, 0.269], [0.081, 0.669, 0.301], [0.250, 0.338, 0.920], [0.750, 0.867, 0.095], [0.483, 0.281, 0.503], [0.017, 0.781, 0.997], [0.081, 0.169, 0.199], [0.750, 0.976, 0.912], [0.250, 0.133, 0.905], [0.079, 0.587, 0.122], [0.750, 0.244, 0.234], [0.250, 0.376, 0.126], [0.250, 0.256, 0.734], [0.250, 0.756, 0.766], [0.250, 0.633, 0.595], [0.483, 0.781, 0.997], [0.919, 0.331, 0.699], [0.983, 0.219, 0.003], [0.421, 0.587, 0.122], [0.421, 0.087, 0.378], [0.250, 0.524, 0.412], [0.017, 0.281, 0.503], [0.921, 0.413, 0.878], [0.750, 0.367, 0.405], [0.750, 0.744, 0.266], [0.250, 0.876, 0.374], [0.419, 0.169, 0.199], [0.507, 0.928, 0.231], [0.250, 0.838, 0.580], [0.750, 0.290, 0.563], [0.750, 0.993, 0.742], [0.250, 0.007, 0.258], [0.250, 0.507, 0.242], [0.976, 0.756, 0.163], [0.750, 0.790, 0.937], [0.250, 0.210, 0.063], [0.250, 0.710, 0.437], [0.750, 0.493, 0.758], [0.524, 0.256, 0.337], [0.476, 0.744, 0.663], [0.476, 0.244, 0.837], [0.976, 0.256, 0.337], [0.024, 0.244, 0.837], [0.524, 0.756, 0.163], [0.024, 0.744, 0.663], [0.250, 0.566, 0.933], [0.750, 0.585, 0.405], [0.750, 0.934, 0.433], [0.250, 0.415, 0.595], [0.250, 0.915, 0.905], [0.250, 0.066, 0.567], [0.750, 0.085, 0.095], [0.750, 0.434, 0.067]]
}

(15)
{
  "formula": "KEr3F10",
  "functional": "r²SCAN",
  "state": "optimized geometry",
  "space_group": "No. 71",
  "final_energy_ev_per_atom": -14.2515,
  "cell": [[-3.857, -6.626, 2.447], [-6.174, 0.601, 5.128], [-7.496, -1.461, -2.541]],
  "species": ["F", "F", "F", "F", "F", "F", "F", "F", "F", "F", "F", "F", "F", "F", "F", "F", "F", "F", "F", "F", "Er", "Er", "Er", "Er", "Er", "Er", "K", "K"],
  "fractional_positions": [[0.500, 0.169, 0.831], [0.832, 0.500, 0.500], [0.112, 0.664, 0.112], [0.336, 0.888, 0.888], [0.500, 0.169, 0.500], [0.168, 0.831, 0.500], [0.500, 0.500, 0.169], [0.112, 0.112, 0.112], [0.500, 0.500, 0.831], [0.112, 0.112, 0.664], [0.832, 0.500, 0.169], [0.500, 0.831, 0.169], [0.888, 0.336, 0.888], [0.888, 0.888, 0.336], [0.168, 0.500, 0.831], [0.168, 0.500, 0.500], [0.664, 0.112, 0.112], [0.832, 0.169, 0.500], [0.888, 0.888, 0.888], [0.500, 0.831, 0.500], [0.760, 0.760, 0.240], [0.240, 0.760, 0.760], [0.240, 0.240, 0.760], [0.240, 0.760, 0.240], [0.760, 0.240, 0.240], [0.760, 0.240, 0.760], [0.250, 0.250, 0.250], [0.750, 0.750, 0.750]]
}

Values for ΔE_f, eV per atom, ordered as above
-0.381 -0.275 -0.390 -0.272 0.012 0.139 0.067 0.000 0.023 -2.240 -0.444 -4.272 -4.226 -4.226 -4.319